1.
A geometry-optimized CaAl2Sb2 structure. Source: Materials Project, functional r2SCAN.

CIF file:
```
data_CaAl2Sb2
_chemical_formula_sum 'Ca1 Al2 Sb2'
_cell_length_a 4.9811
_cell_length_b 4.9811
_cell_length_c 6.0445
_cell_angle_alpha 90.00
_cell_angle_beta 90.00
_cell_angle_gamma 120.00
_space_group_name_H-M_alt 'P -3 m 1'
_space_group_IT_number 164
_space_group_name_Hall '-P 3 2"'
loop_
_atom_site_label
_atom_site_type_symbol
_atom_site_fract_x
_atom_site_fract_y
_atom_site_fract_z
_atom_site_occupancy
Ca1 Ca 0.0000 0.0000 0.0000 1
Al1 Al 0.3333 0.6667 0.7160 1
Sb1 Sb 0.3333 0.6667 0.2617 1
```



2.
A geometry-optimized CsAgBr2 structure. Source: Materials Project, functional r2SCAN.

CIF file:
```
data_CsAgBr2
_chemical_formula_sum 'Cs4 Ag4 Br8'
_cell_length_a 4.640
_cell_length_b 20.087
_cell_length_c 5.908
_cell_angle_alpha 90.00
_cell_angle_beta 90.00
_cell_angle_gamma 90.00
_space_group_name_H-M_alt 'C m c m'
_space_group_IT_number 63
_space_group_name_Hall '-C 2c 2'
loop_
_atom_site_label
_atom_site_type_symbol
_atom_site_fract_x
_atom_site_fract_y
_atom_site_fract_z
_atom_site_occupancy
Cs1 Cs 0.000 0.086 0.250 1
Ag1 Ag 0.000 0.299 0.250 1
Br1 Br 0.000 0.275 0.750 1
Br2 Br 0.000 0.431 0.250 1
```

Output
Energy relative to the lowest polymorph listed for this composition, kJ/mol of atoms: 0.35



3.
A geometry-optimized FeTeAs structure. Source: Materials Project, functional r2SCAN.

CIF file:
```
data_FeTeAs
_chemical_formula_sum 'Fe4 Te4 As4'
_cell_length_a 6.194
_cell_length_b 6.096
_cell_length_c 6.226
_cell_angle_alpha 90.00
_cell_angle_beta 114.08
_cell_angle_gamma 90.00
_space_group_name_H-M_alt 'P 1 21/c 1'
_space_group_IT_number 14
loop_
_space_group_symop_operation_xyz
'x,y,z'
'-x,-y,-z'
'-x,y+1/2,-z+1/2'
'x,-y+1/2,z+1/2'
loop_
_atom_site_label
_atom_site_type_symbol
_atom_site_fract_x
_atom_site_fract_y
_atom_site_fract_z
_atom_site_occupancy
Fe1 Fe 0.215 0.009 0.208 1
Te1 Te 0.346 0.629 0.133 1
As1 As 0.143 0.148 0.838 1
```



4.
A geometry-optimized Sr structure. Source: Materials Project, functional r2SCAN.

CIF file:
```
data_Sr
_chemical_formula_sum 'Sr2'
_cell_length_a 4.3012
_cell_length_b 4.3012
_cell_length_c 7.0446
_cell_angle_alpha 90.00
_cell_angle_beta 90.00
_cell_angle_gamma 120.00
_space_group_name_H-M_alt 'P 63/m m c'
_space_group_IT_number 194
_space_group_name_Hall '-P 6c 2c'
loop_
_atom_site_label
_atom_site_type_symbol
_atom_site_fract_x
_atom_site_fract_y
_atom_site_fract_z
_atom_site_occupancy
Sr1 Sr 0.3333 0.6667 0.2500 1
```

Output
Energy relative to the lowest polymorph listed for this composition, kJ/mol of atoms: 0.00



5.
A geometry-optimized EuCdAu2 structure. Source: Materials Project, functional r2SCAN.

CIF file:
```
data_EuCdAu2
_chemical_formula_sum 'Eu4 Cd4 Au8'
_cell_length_a 7.126
_cell_length_b 7.126
_cell_length_c 7.126
_cell_angle_alpha 90.00
_cell_angle_beta 90.00
_cell_angle_gamma 90.00
_space_group_name_H-M_alt 'F m -3 m'
_space_group_IT_number 225
_space_group_name_Hall '-F 4 2 3'
loop_
_atom_site_label
_atom_site_type_symbol
_atom_site_fract_x
_atom_site_fract_y
_atom_site_fract_z
_atom_site_occupancy
Eu1 Eu 0.000 0.000 0.000 1
Cd1 Cd 0.000 0.000 0.500 1
Au1 Au 0.250 0.250 0.250 1
```



6.
A geometry-optimized Nb2CdO6 structure. Source: Materials Project, functional r2SCAN.

CIF file:
```
data_Nb2CdO6
_chemical_formula_sum 'Nb8 Cd4 O24'
_cell_length_a 14.939
_cell_length_b 5.925
_cell_length_c 5.171
_cell_angle_alpha 90.00
_cell_angle_beta 90.00
_cell_angle_gamma 90.00
_space_group_name_H-M_alt 'P b c n'
_space_group_IT_number 60
loop_
_space_group_symop_operation_xyz
'x,y,z'
'-x,-y,-z'
'-x+1/2,-y+1/2,z+1/2'
'x+1/2,y+1/2,-z+1/2'
'x+1/2,-y+1/2,-z'
'-x+1/2,y+1/2,z'
'-x,y,-z+1/2'
'x,-y,z+1/2'
loop_
_atom_site_label
_atom_site_type_symbol
_atom_site_fract_x
_atom_site_fract_y
_atom_site_fract_z
_atom_site_occupancy
Nb1 Nb 0.165 0.183 0.236 1
Cd1 Cd 0.000 0.307 0.750 1
O1 O 0.086 0.385 0.105 1
O2 O 0.103 0.090 0.549 1
O3 O 0.244 0.130 0.910 1
```



7.
A geometry-optimized LaLuTl2 structure. Source: Materials Project, functional r2SCAN.

CIF file:
```
data_LaLuTl2
_chemical_formula_sum 'La4 Lu4 Tl8'
_cell_length_a 7.689
_cell_length_b 7.689
_cell_length_c 7.689
_cell_angle_alpha 90.00
_cell_angle_beta 90.00
_cell_angle_gamma 90.00
_space_group_name_H-M_alt 'F m -3 m'
_space_group_IT_number 225
_space_group_name_Hall '-F 4 2 3'
loop_
_atom_site_label
_atom_site_type_symbol
_atom_site_fract_x
_atom_site_fract_y
_atom_site_fract_z
_atom_site_occupancy
La1 La 0.000 0.000 0.000 1
Lu1 Lu 0.000 0.000 0.500 1
Tl1 Tl 0.250 0.250 0.250 1
```



8.
A geometry-optimized TiCoO3 structure. Source: Materials Project, functional r2SCAN.

CIF file:
```
data_TiCoO3
_chemical_formula_sum 'Ti6 Co6 O18'
_cell_length_a 5.0559
_cell_length_b 5.0559
_cell_length_c 13.8249
_cell_angle_alpha 90.00
_cell_angle_beta 90.00
_cell_angle_gamma 120.00
_space_group_name_H-M_alt 'R -3'
_space_group_IT_number 148
_space_group_name_Hall '-R 3'
loop_
_atom_site_label
_atom_site_type_symbol
_atom_site_fract_x
_atom_site_fract_y
_atom_site_fract_z
_atom_site_occupancy
Ti1 Ti 0.0000 0.0000 0.1452 1
Co1 Co 0.0000 0.0000 0.3557 1
O1 O 0.0167 0.3138 0.7534 1
```



9.
A geometry-optimized Dy2Nb3Ge4 structure. Source: Materials Project, functional r2SCAN.

CIF file:
```
data_Dy2Nb3Ge4
_chemical_formula_sum 'Dy8 Nb12 Ge16'
_cell_length_a 6.992
_cell_length_b 13.543
_cell_length_c 7.180
_cell_angle_alpha 90.00
_cell_angle_beta 90.00
_cell_angle_gamma 90.00
_space_group_name_H-M_alt 'P n m a'
_space_group_IT_number 62
loop_
_space_group_symop_operation_xyz
'x,y,z'
'-x,-y,-z'
'-x+1/2,-y,z+1/2'
'x+1/2,y,-z+1/2'
'x+1/2,-y+1/2,-z+1/2'
'-x+1/2,y+1/2,z+1/2'
'-x,y+1/2,-z'
'x,-y+1/2,z'
loop_
_atom_site_label
_atom_site_type_symbol
_atom_site_fract_x
_atom_site_fract_y
_atom_site_fract_z
_atom_site_occupancy
Dy1 Dy 0.002 0.096 0.174 1
Nb1 Nb 0.160 0.627 0.328 1
Nb2 Nb 0.164 0.250 0.513 1
Ge1 Ge 0.040 0.250 0.879 1
Ge2 Ge 0.174 0.041 0.539 1
Ge3 Ge 0.196 0.750 0.636 1
```



10.
A geometry-optimized LaPrNi10 structure. Source: Materials Project, functional r2SCAN.

CIF file:
```
data_LaPrNi10
_chemical_formula_sum 'La1 Pr1 Ni10'
_cell_length_a 3.938
_cell_length_b 4.943
_cell_length_c 8.560
_cell_angle_alpha 90.00
_cell_angle_beta 90.00
_cell_angle_gamma 90.00
_space_group_name_H-M_alt 'P m m m'
_space_group_IT_number 47
loop_
_space_group_symop_operation_xyz
'x,y,z'
'-x,-y,-z'
'-x,-y,z'
'x,y,-z'
'x,-y,-z'
'-x,y,z'
'-x,y,-z'
'x,-y,z'
loop_
_atom_site_label
_atom_site_type_symbol
_atom_site_fract_x
_atom_site_fract_y
_atom_site_fract_z
_atom_site_occupancy
La1 La 0.000 0.000 0.000 1
Pr1 Pr 0.000 0.500 0.500 1
Ni1 Ni 0.000 0.000 0.333 1
Ni2 Ni 0.000 0.500 0.166 1
Ni3 Ni 0.500 0.000 0.500 1
Ni4 Ni 0.500 0.251 0.251 1
Ni5 Ni 0.500 0.500 0.000 1
```



11.
A geometry-optimized SiF4 structure. Source: Materials Project, functional r2SCAN.

CIF file:
```
data_SiF4
_chemical_formula_sum 'Si2 F8'
_cell_length_a 5.283
_cell_length_b 5.283
_cell_length_c 5.283
_cell_angle_alpha 90.00
_cell_angle_beta 90.00
_cell_angle_gamma 90.00
_space_group_name_H-M_alt 'I -4 3 m'
_space_group_IT_number 217
_space_group_name_Hall 'I -4 2 3'
loop_
_atom_site_label
_atom_site_type_symbol
_atom_site_fract_x
_atom_site_fract_y
_atom_site_fract_z
_atom_site_occupancy
Si1 Si 0.000 0.000 0.000 1
F1 F 0.171 0.171 0.171 1
```



12.
A geometry-optimized U2InRh2 structure. Source: Materials Project, functional r2SCAN.

CIF file:
```
data_U2InRh2
_chemical_formula_sum 'U4 In2 Rh4'
_cell_length_a 7.643
_cell_length_b 7.643
_cell_length_c 3.605
_cell_angle_alpha 90.00
_cell_angle_beta 90.00
_cell_angle_gamma 90.00
_space_group_name_H-M_alt 'P 4/m b m'
_space_group_IT_number 127
_space_group_name_Hall '-P 4 2ab'
loop_
_atom_site_label
_atom_site_type_symbol
_atom_site_fract_x
_atom_site_fract_y
_atom_site_fract_z
_atom_site_occupancy
U1 U 0.168 0.332 0.000 1
In1 In 0.000 0.000 0.500 1
Rh1 Rh 0.140 0.640 0.500 1
```



no.,total DFT energy (no corrections) (eV per cell)
1,-73.499
2,-312.012
3,-219.618
4,-30.291
5,-649.273
6,-511.183
7,-703.760
8,-338.668
9,-804.349
10,-181.750
11,-75.625
12,-467.401